1.
A geometry-optimized La3C2I3 structure. Source: the Materials Project database, functional meta-GGA r2SCAN.

Cell: 10.804 10.804 17.874 Å, 90.00 90.00 111.64°
Sites, in units of the cell vectors:
La1 0.830 0.170 0.750
C1 0.344 0.147 0.023
I1 0.013 0.020 0.633
I2 0.863 0.631 0.993
La2 0.769 0.741 0.599
I3 0.481 0.499 0.620
C2 0.781 0.225 0.904
La3 0.385 0.677 0.479
C3 0.853 0.656 0.477
La4 0.974 0.471 0.619
C4 0.219 0.775 0.404
I4 0.858 0.630 0.254
C5 0.591 0.903 0.471
I5 0.980 0.987 0.867
I6 0.260 0.746 0.633
La5 0.026 0.529 0.119
I7 0.740 0.254 0.133
La6 0.843 0.106 0.500
C6 0.409 0.097 0.971
I8 0.746 0.260 0.367
La7 0.471 0.974 0.381
C7 0.725 0.281 0.650
I9 0.630 0.858 0.746
La8 0.741 0.769 0.401
La9 0.259 0.231 0.901
La10 0.529 0.026 0.881
La11 0.231 0.259 0.099
I10 0.362 0.099 0.743
La12 0.894 0.157 0.000
C8 0.281 0.725 0.350
C9 0.719 0.275 0.850
La13 0.552 0.010 0.603
C10 0.656 0.853 0.523
C11 0.147 0.344 0.977
La14 0.448 0.990 0.103
La15 0.990 0.448 0.897
La16 0.106 0.843 0.500
I11 0.638 0.901 0.243
I12 0.499 0.481 0.380
I13 0.142 0.370 0.754
I14 0.254 0.740 0.867
La17 0.157 0.894 0.000
I15 0.501 0.519 0.880
I16 0.099 0.362 0.257
I17 0.987 0.980 0.133
C12 0.275 0.719 0.150
I18 0.901 0.638 0.757
C13 0.775 0.219 0.596
I19 0.519 0.501 0.120
La18 0.323 0.615 0.021
La19 0.170 0.830 0.250
La20 0.615 0.323 0.979
C14 0.097 0.409 0.029
C15 0.903 0.591 0.529
La21 0.631 0.369 0.750
I20 0.631 0.863 0.007
I21 0.020 0.013 0.367
I22 0.370 0.142 0.246
La22 0.010 0.552 0.397
La23 0.369 0.631 0.250
La24 0.677 0.385 0.521
C16 0.225 0.781 0.096
I23 0.369 0.137 0.507
I24 0.137 0.369 0.493

Values from the calculation:
Electronic total energy: -1543.41 eV/cell
Space group: C222_1 (20)

2.
A geometry-optimized ZrMn2 structure. Source: the Materials Project database, functional meta-GGA r2SCAN.

Cell: 5.258 5.258 8.609 Å, 90.00 90.00 120.00°
Sites, in units of the cell vectors:
Mn1 0.333 0.166 0.250
Mn2 0.667 0.834 0.750
Mn3 0.834 0.166 0.250
Mn4 0.000 0.000 0.000
Mn5 0.166 0.333 0.750
Mn6 0.834 0.667 0.250
Zr1 0.333 0.667 0.438
Zr2 0.333 0.667 0.062
Zr3 0.667 0.333 0.938
Mn7 0.000 0.000 0.500
Mn8 0.166 0.834 0.750
Zr4 0.667 0.333 0.562

Values from the calculation:
Electronic total energy: -210.50 eV/cell
Space group: P6_3/mmc (194)

3.
A geometry-optimized CeMnB4 structure. Source: the Materials Project database, functional meta-GGA r2SCAN.

Cell: 3.510 6.006 11.639 Å, 90.00 90.00 90.00°
Sites, in units of the cell vectors:
B1 0.000 0.024 0.189
B2 0.000 0.476 0.689
B3 0.000 0.280 0.816
Ce1 0.500 0.875 0.349
B4 0.000 0.360 0.967
B5 0.000 0.640 0.033
B6 0.000 0.720 0.184
B7 0.000 0.780 0.684
B8 0.000 0.860 0.533
B9 0.000 0.613 0.454
Ce2 0.500 0.375 0.151
B10 0.000 0.524 0.311
B11 0.000 0.140 0.467
Mn1 0.500 0.370 0.414
Ce3 0.500 0.625 0.849
B12 0.000 0.220 0.316
Mn2 0.500 0.870 0.086
B13 0.000 0.887 0.954
B14 0.000 0.976 0.811
Ce4 0.500 0.125 0.651
B15 0.000 0.387 0.546
Mn3 0.500 0.630 0.586
Mn4 0.500 0.130 0.914
B16 0.000 0.113 0.046

Values from the calculation:
Electronic total energy: -313.95 eV/cell
Space group: Pbam (55)

4.
A geometry-optimized Er6CoBr10 structure. Source: the Materials Project database, functional meta-GGA r2SCAN.

Cell: 7.185 8.858 9.023 Å, 107.97 97.11 105.13°
Sites, in units of the cell vectors:
Br1 0.743 0.912 0.037
Co1 0.000 0.000 0.500
Br2 0.351 0.457 0.775
Er1 0.357 0.133 0.676
Br3 0.913 0.626 0.676
Br4 0.786 0.260 0.849
Br5 0.214 0.740 0.151
Er2 0.643 0.867 0.324
Br6 0.549 0.184 0.413
Br7 0.451 0.816 0.587
Br8 0.257 0.088 0.963
Br9 0.087 0.374 0.324
Er3 0.031 0.717 0.414
Er4 0.969 0.283 0.586
Er5 0.879 0.954 0.745
Br10 0.649 0.543 0.225
Er6 0.121 0.046 0.255

Values from the calculation:
Electronic total energy: -379.36 eV/cell
Space group: P-1 (2)

5.
A geometry-optimized Pr3RuCl3 structure. Source: the Materials Project database, functional meta-GGA r2SCAN.

Cell: 4.085 12.504 14.298 Å, 90.00 90.00 90.00°
Sites, in units of the cell vectors:
Pr1 0.750 0.164 0.911
Cl1 0.250 0.784 0.764
Pr2 0.250 0.083 0.359
Pr3 0.250 0.836 0.089
Cl2 0.750 0.599 0.455
Pr4 0.250 0.664 0.589
Pr5 0.750 0.676 0.899
Ru1 0.750 0.400 0.988
Cl3 0.750 0.562 0.714
Cl4 0.750 0.901 0.955
Cl5 0.250 0.099 0.045
Pr6 0.750 0.583 0.141
Cl6 0.250 0.401 0.545
Cl7 0.750 0.938 0.214
Cl8 0.250 0.716 0.264
Pr7 0.250 0.417 0.859
Cl9 0.250 0.062 0.786
Cl10 0.750 0.216 0.236
Cl11 0.250 0.438 0.286
Ru2 0.750 0.100 0.488
Cl12 0.750 0.284 0.736
Pr8 0.750 0.917 0.641
Pr9 0.250 0.176 0.601
Pr10 0.750 0.824 0.400
Pr11 0.750 0.336 0.411
Ru3 0.250 0.600 0.012
Ru4 0.250 0.900 0.512
Pr12 0.250 0.324 0.101

Values from the calculation:
Electronic total energy: -573.52 eV/cell
Space group: Pnma (62)

6.
A geometry-optimized BaP8 structure. Source: the Materials Project database, functional meta-GGA r2SCAN.

Cell: 6.842 7.320 8.668 Å, 86.52 83.84 70.31°
Sites, in units of the cell vectors:
P1 0.395 0.124 0.325
P2 0.761 0.420 0.843
P3 0.239 0.580 0.157
P4 0.909 0.820 0.759
P5 0.989 0.957 0.382
P6 0.599 0.226 0.961
Ba1 0.263 0.335 0.681
P7 0.522 0.331 0.202
P8 0.011 0.043 0.618
P9 0.478 0.669 0.798
Ba2 0.737 0.665 0.319
P10 0.142 0.047 0.004
P11 0.091 0.180 0.241
P12 0.235 0.677 0.394
P13 0.858 0.953 0.996
P14 0.605 0.876 0.675
P15 0.765 0.323 0.606
P16 0.401 0.774 0.039

Values from the calculation:
Electronic total energy: -203.72 eV/cell
Space group: P-1 (2)

7.
A geometry-optimized LaSnPt structure. Source: the Materials Project database, functional meta-GGA r2SCAN.

Cell: 7.687 7.687 4.206 Å, 90.00 90.00 120.00°
Sites, in units of the cell vectors:
La1 0.000 0.586 0.000
La2 0.414 0.414 0.000
La3 0.586 0.000 0.000
Sn1 0.752 0.752 0.500
Pt1 0.667 0.333 0.500
Sn2 0.248 0.000 0.500
Pt2 0.333 0.667 0.500
Pt3 0.000 0.000 0.000
Sn3 0.000 0.248 0.500

Values from the calculation:
Electronic total energy: -328.49 eV/cell
Space group: P-62m (189)

8.
A geometry-optimized HoFe2 structure. Source: the Materials Project database, functional meta-GGA r2SCAN.

Cell: 5.151 5.151 5.151 Å, 60.00 60.00 60.00°
Sites, in units of the cell vectors:
Fe1 0.125 0.125 0.125
Fe2 0.125 0.625 0.125
Fe3 0.625 0.125 0.125
Ho1 0.500 0.500 0.500
Fe4 0.125 0.125 0.625
Ho2 0.750 0.750 0.750

Values from the calculation:
Electronic total energy: -123.43 eV/cell
Space group: Fd-3m (227)